A plane-wave DFT calculation with r2SCAN was carried out for an optimized crystal structure of Sc2SnAu2.

Structure (CIF):
```
data_Sc2SnAu2
_chemical_formula_sum 'Sc4 Sn2 Au4'
_symmetry_space_group_name_H-M 'P 1'
_symmetry_Int_Tables_number 1
_symmetry_space_group_name_Hall 'P 1'
_cell_length_a 7.5867
_cell_length_b 7.5867
_cell_length_c 3.5494
_cell_angle_alpha 90.00
_cell_angle_beta 90.00
_cell_angle_gamma 90.00
loop_
_atom_site_label
_atom_site_type_symbol
_atom_site_fract_x
_atom_site_fract_y
_atom_site_fract_z
Au1 Au 0.6300 0.8700 0.5000
Sn1 Sn 0.5000 0.5000 0.5000
Sc1 Sc 0.8328 0.6672 0.0000
Sc2 Sc 0.3328 0.8328 0.0000
Au2 Au 0.3700 0.1300 0.5000
Sc3 Sc 0.1672 0.3328 0.0000
Sn2 Sn 0.0000 0.0000 0.5000
Au3 Au 0.1300 0.6300 0.5000
Sc4 Sc 0.6672 0.1672 0.0000
Au4 Au 0.8700 0.3700 0.5000
```

ΔE_f, meV/atom: -806